This record from Materials Project describes crystalline CaU2Si2H12O17 at its relaxed geometry. The functional is PBE-GGA.

Values from the calculation:
Mass density = 3.77 g cm⁻³
Energy of formation = -2.3152 eV per atom
SG = P2_1

Cell: 6.7207 7.0508 16.0751 Å, 90.00 97.73 90.00°
Fractional positions:
Ca  0.2303  0.0000  0.2327
Ca  0.7697  0.5000  0.7673
U  0.3615  0.1103  0.9935
U  0.3644  0.0449  0.4952
U  0.6356  0.5449  0.5048
U  0.6385  0.6103  0.0065
Si  0.1585  0.5475  0.4676
Si  0.1587  0.6098  0.9633
Si  0.8415  0.0475  0.5324
Si  0.8413  0.1098  0.0367
H  0.0305  0.6832  0.3427
H  0.0334  0.4826  0.6272
H  0.0775  0.6580  0.1254
H  0.1515  0.6801  0.8253
H  0.1876  0.4219  0.7085
H  0.1884  0.8936  0.7146
H  0.2076  0.5663  0.2041
H  0.2703  0.3993  0.3104
H  0.2977  0.9433  0.8045
H  0.4150  0.2635  0.7934
H  0.4296  0.2434  0.6960
H  0.4580  0.3499  0.2636
H  0.5420  0.8499  0.7364
H  0.5704  0.7434  0.3040
H  0.5850  0.7635  0.2066
H  0.7023  0.4433  0.1955
H  0.7297  0.8993  0.6896
H  0.7924  0.0663  0.7959
H  0.8116  0.3936  0.2854
H  0.8124  0.9219  0.2915
H  0.8485  0.1801  0.1747
H  0.9225  0.1580  0.8746
H  0.9666  0.9826  0.3728
H  0.9695  0.1832  0.6573
O  0.0263  0.0361  0.4769
O  0.0267  0.1120  0.9813
O  0.0429  0.4324  0.6859
O  0.0680  0.6079  0.8615
O  0.0781  0.5576  0.3651
O  0.1473  0.6872  0.1823
O  0.2756  0.8390  0.7625
O  0.3092  0.3449  0.2585
O  0.3121  0.3657  0.4800
O  0.3149  0.4334  0.9894
O  0.3167  0.7197  0.4984
O  0.3169  0.7875  0.9819
O  0.3558  0.0211  0.3802
O  0.3591  0.1197  0.8775
O  0.3688  0.0932  0.1087
O  0.3797  0.0718  0.6102
O  0.4372  0.3368  0.7426
O  0.5628  0.8368  0.2574
O  0.6203  0.5718  0.3898
O  0.6312  0.5932  0.8913
O  0.6409  0.6197  0.1225
O  0.6442  0.5211  0.6198
O  0.6833  0.2197  0.5016
O  0.6831  0.2875  0.0181
O  0.6851  0.9334  0.0106
O  0.6879  0.8657  0.5200
O  0.6908  0.8449  0.7415
O  0.7244  0.3390  0.2375
O  0.8527  0.1872  0.8177
O  0.9219  0.0576  0.6349
O  0.9320  0.1079  0.1385
O  0.9571  0.9324  0.3141
O  0.9733  0.6120  0.0187
O  0.9737  0.5361  0.5231

---

This record from Materials Project describes crystalline Na14La4Zn4Si5S7O48 at its relaxed geometry. The functional is PBE-GGA.

Values from the calculation:
Mass density = 3.16 g cm⁻³
Energy of formation = -2.4707 eV per atom
SG = P1

Cell: 9.4399 16.5349 22.9393 Å, 90.71 90.08 90.26°
Fractional positions:
Na  0.0000  0.0000  0.0000
Na  0.0017  0.3369  0.3262
Na  0.0066  0.9718  0.3428
Na  0.1124  0.8390  0.8427
Na  0.1146  0.4750  0.8503
Na  0.1266  0.1695  0.1780
Na  0.1340  0.5090  0.5031
Na  0.1435  0.1350  0.5024
Na  0.1491  0.4863  0.1763
Na  0.1696  0.8050  0.5157
Na  0.1969  0.1429  0.8474
Na  0.2970  0.3027  0.7711
Na  0.3002  0.6652  0.0881
Na  0.3028  0.9897  0.9302
Na  0.3063  0.3062  0.2579
Na  0.3157  0.6686  0.5950
Na  0.3223  0.9968  0.4202
Na  0.4302  0.1501  0.3348
Na  0.4418  0.8238  0.0168
Na  0.4664  0.4905  0.6740
Na  0.4747  0.1614  0.6914
Na  0.4779  0.1259  0.0068
Na  0.5020  0.8265  0.3419
Na  0.5042  0.4794  0.3456
Na  0.6177  0.3270  0.8466
Na  0.6180  0.9768  0.8527
Na  0.6306  0.6284  0.5044
Na  0.6371  0.6679  0.1805
Na  0.6525  0.9880  0.1657
Na  0.6647  0.3216  0.5169
Na  0.6863  0.6588  0.8477
Na  0.8010  0.4996  0.9214
Na  0.8066  0.1637  0.0895
Na  0.8087  0.1506  0.5962
Na  0.8093  0.4994  0.4232
Na  0.8142  0.8088  0.7643
Na  0.8156  0.8040  0.2657
Na  0.9182  0.6435  0.3392
Na  0.9515  0.3056  0.0140
Na  0.9717  0.9843  0.6849
Na  0.9850  0.6487  0.0077
Na  0.9905  0.6736  0.6863
La  0.3014  0.6614  0.2489
La  0.3030  0.3087  0.1094
La  0.3054  0.3104  0.6121
La  0.3141  0.6526  0.9391
La  0.3138  0.9871  0.5773
La  0.3148  0.6627  0.7423
La  0.7979  0.1625  0.2392
La  0.8040  0.1478  0.4368
La  0.8044  0.4875  0.0753
La  0.8164  0.1627  0.7495
La  0.8167  0.8088  0.6110
La  0.8217  0.8122  0.1093
Zn  0.2900  0.9958  0.0709
Zn  0.2970  0.0046  0.2687
Zn  0.3000  0.2998  0.4108
Zn  0.3032  0.9911  0.7697
Zn  0.3129  0.6509  0.4394
Zn  0.3203  0.2931  0.9155
Zn  0.7995  0.7906  0.4154
Zn  0.8037  0.1460  0.9398
Zn  0.8154  0.5040  0.7713
Zn  0.8177  0.4881  0.2630
Zn  0.8329  0.5149  0.5796
Zn  0.8584  0.7904  0.9226
Si  0.1220  0.1514  0.3450
Si  0.1252  0.8269  0.0062
Si  0.1379  0.1640  0.0043
Si  0.1575  0.1358  0.6792
Si  0.1592  0.8395  0.6788
Si  0.4539  0.1242  0.1727
Si  0.4640  0.1684  0.5070
Si  0.5067  0.1502  0.8439
Si  0.6102  0.6515  0.3462
Si  0.6573  0.6280  0.6740
Si  0.6597  0.6671  0.0070
Si  0.9589  0.6358  0.1818
Si  0.9616  0.3384  0.1786
Si  0.9787  0.6620  0.5053
Si  0.9937  0.6486  0.8427
S  0.0034  0.3247  0.5046
S  0.0169  0.9848  0.1798
S  0.0979  0.4852  0.6768
S  0.1491  0.8104  0.3524
S  0.1614  0.4652  0.0053
S  0.1608  0.4956  0.3488
S  0.4531  0.8428  0.1779
S  0.4600  0.4687  0.5062
S  0.4670  0.4893  0.8370
S  0.4725  0.8164  0.8459
S  0.5055  0.4855  0.1844
S  0.5053  0.8147  0.5012
S  0.6138  0.3138  0.0008
S  0.6163  0.9870  0.6831
S  0.6455  0.3144  0.3487
S  0.6509  0.9893  0.3379
S  0.6596  0.9730  0.0070
S  0.6701  0.3432  0.6749
S  0.9568  0.9668  0.5056
S  0.9600  0.9983  0.8451
S  0.9697  0.3121  0.8507
O  0.0023  0.4622  0.0010
O  0.0038  0.4866  0.3455
O  0.0069  0.1626  0.2919
O  0.0103  0.4774  0.7299
O  0.0129  0.4801  0.6221
O  0.0130  0.8078  0.0582
O  0.0335  0.8418  0.9455
O  0.0347  0.1394  0.4067
O  0.0895  0.6343  0.9016
O  0.0933  0.3324  0.4517
O  0.0946  0.3158  0.5569
O  0.0963  0.6577  0.7855
O  0.1008  0.9768  0.2349
O  0.1044  0.9815  0.1272
O  0.1162  0.9672  0.5011
O  0.1175  0.9892  0.8439
O  0.1252  0.3283  0.8561
O  0.1342  0.6383  0.1799
O  0.1377  0.3371  0.1833
O  0.1534  0.6546  0.4968
O  0.1560  0.2217  0.0634
O  0.1642  0.7576  0.2993
O  0.1755  0.5643  0.6762
O  0.1944  0.5478  0.4003
O  0.1949  0.0916  0.6163
O  0.2046  0.8779  0.6155
O  0.2061  0.4197  0.6771
O  0.2059  0.5521  0.0072
O  0.2071  0.4293  0.0613
O  0.2104  0.7683  0.4032
O  0.2113  0.8935  0.7353
O  0.2131  0.7444  0.6770
O  0.2150  0.2081  0.9491
O  0.2157  0.0755  0.0094
O  0.2186  0.5344  0.2950
O  0.2196  0.0680  0.3385
O  0.2204  0.4211  0.9546
O  0.2211  0.2351  0.3442
O  0.2219  0.0877  0.7350
O  0.2237  0.7444  0.0045
O  0.2252  0.8885  0.3444
O  0.2259  0.9070  0.0160
O  0.2279  0.4142  0.3525
O  0.2367  0.2259  0.6838
O  0.3767  0.2140  0.1737
O  0.3825  0.0801  0.5033
O  0.3895  0.4121  0.8461
O  0.3955  0.8935  0.8381
O  0.3966  0.8830  0.2312
O  0.4004  0.5524  0.5053
O  0.4035  0.8834  0.5012
O  0.4047  0.2208  0.4522
O  0.4058  0.2331  0.8494
O  0.4063  0.4157  0.1821
O  0.4069  0.0692  0.1163
O  0.4065  0.4311  0.5615
O  0.4083  0.0670  0.8417
O  0.4083  0.7545  0.1760
O  0.4096  0.5269  0.7830
O  0.4097  0.8809  0.1234
O  0.4126  0.0867  0.2367
O  0.4125  0.4196  0.4553
O  0.4133  0.7781  0.8994
O  0.4194  0.5618  0.1844
O  0.4217  0.7373  0.5027
O  0.4311  0.2165  0.5691
O  0.4457  0.5477  0.8864
O  0.4485  0.7577  0.7965
O  0.4822  0.6340  0.6723
O  0.4870  0.6562  0.0069
O  0.4901  0.3288  0.3514
O  0.4952  0.6422  0.4004
O  0.4958  0.9739  0.3341
O  0.5014  0.9785  0.0071
O  0.5085  0.3448  0.6781
O  0.5216  0.6679  0.2851
O  0.5233  0.3147  0.0535
O  0.5251  0.3214  0.9474
O  0.5278  0.9834  0.7358
O  0.5294  0.9896  0.6293
O  0.5915  0.1689  0.7820
O  0.5933  0.4891  0.1313
O  0.5942  0.4809  0.2376
O  0.5944  0.8211  0.4480
O  0.5951  0.8153  0.5542
O  0.6137  0.8434  0.1826
O  0.6184  0.4725  0.5064
O  0.6221  0.4731  0.8337
O  0.6256  0.1400  0.8964
O  0.6267  0.8302  0.8494
O  0.6298  0.1302  0.1692
O  0.6398  0.1645  0.5074
O  0.6675  0.2543  0.3000
O  0.6710  0.0461  0.3889
O  0.6892  0.5770  0.6133
O  0.6903  0.7143  0.0695
O  0.6947  0.2364  0.0018
O  0.7021  0.0642  0.6821
O  0.7026  0.2773  0.4030
O  0.7046  0.9243  0.9563
O  0.7059  0.5825  0.7332
O  0.7068  0.5687  0.3449
O  0.7099  0.0297  0.2855
O  0.7109  0.9360  0.0627
O  0.7119  0.2550  0.6737
O  0.7121  0.7347  0.3487
O  0.7136  0.7201  0.9506
O  0.7159  0.9180  0.6810
O  0.7167  0.3811  0.6203
O  0.7167  0.3823  0.0012
O  0.7209  0.0571  0.0062
O  0.7220  0.3912  0.3398
O  0.7234  0.3838  0.7283
O  0.7279  0.9124  0.3464
O  0.7394  0.7162  0.6757
O  0.7488  0.5812  0.0026
O  0.8788  0.7243  0.1849
O  0.8888  0.9186  0.8470
O  0.8913  0.5664  0.8390
O  0.8937  0.3901  0.8428
O  0.8937  0.7024  0.4507
O  0.8985  0.9230  0.4546
O  0.9001  0.7332  0.8459
O  0.9020  0.5887  0.2402
O  0.9063  0.9200  0.1807
O  0.9073  0.3873  0.2376
O  0.9078  0.2430  0.1752
O  0.9079  0.2692  0.9008
O  0.9094  0.0388  0.7905
O  0.9085  0.5695  0.5107
O  0.9098  0.0538  0.5077
O  0.9100  0.3960  0.5098
O  0.9135  0.3810  0.1179
O  0.9125  0.9301  0.5612
O  0.9137  0.2494  0.5027
O  0.9192  0.5868  0.1213
O  0.9257  0.0509  0.8963
O  0.9404  0.0645  0.1799
O  0.9552  0.2601  0.7969
O  0.9581  0.7181  0.5645
O  0.9631  0.1543  0.9965
O  0.9824  0.1387  0.6789
O  0.9825  0.8363  0.6830
O  0.9936  0.8259  0.3578

---

This record from Materials Project describes crystalline Mn at its relaxed geometry. The functional is PBE-GGA.

Values from the calculation:
Mass density = 8.48 g cm⁻³
Energy of formation = 0.0526 eV per atom
SG = P6_3/mmc
Energy relative to the lowest polymorph listed for this composition = 0.0526 eV/atom

Cell: 2.4836 2.4836 4.0262 Å, 90.00 90.00 120.00°
Fractional positions:
Mn  0.3333  0.6667  0.2500
Mn  0.6667  0.3333  0.7500

---

This record from Materials Project describes crystalline SrH2Cl2O at its relaxed geometry. The functional is PBE-GGA.

Values from the calculation:
Mass density = 2.57 g cm⁻³
Energy of formation = -1.5936 eV per atom
SG = Pnma

Cell: 9.2494 4.3806 11.2718 Å, 90.00 90.00 90.00°
Fractional positions:
Sr  0.1746  0.2500  0.0024
Sr  0.3254  0.7500  0.5024
Sr  0.6746  0.2500  0.4976
Sr  0.8254  0.7500  0.9976
H  0.0595  0.7500  0.2900
H  0.0877  0.7500  0.8381
H  0.4123  0.2500  0.3381
H  0.4405  0.2500  0.7900
H  0.5595  0.7500  0.2100
H  0.5877  0.7500  0.6619
H  0.9123  0.2500  0.1619
H  0.9405  0.2500  0.7100
Cl  0.0594  0.7500  0.6300
Cl  0.1838  0.7500  0.2337
Cl  0.3162  0.2500  0.7337
Cl  0.4406  0.2500  0.1300
Cl  0.5594  0.7500  0.8700
Cl  0.6838  0.7500  0.2663
Cl  0.8162  0.2500  0.7663
Cl  0.9406  0.2500  0.3700
O  0.0832  0.7500  0.9252
O  0.4168  0.2500  0.4252
O  0.5832  0.7500  0.5748
O  0.9168  0.2500  0.0748